# K5Nb16O20F8

K5Nb16O20F8 after structural relaxation (PBE-GGA, the Materials Project database).

Unit cell a=22.554 b=22.554 c=22.554 alpha=164.93 beta=164.93 gamma=21.37
Fractional positions:
Nb 0.296 0.296 0.000
Nb 0.796 0.796 0.000
Nb 0.500 0.000 0.000
Nb 0.703 0.703 0.000
Nb 0.550 0.050 0.500
Nb 0.500 0.500 0.500
Nb 0.453 0.953 0.500
Nb 0.750 0.750 0.500
Nb 0.050 0.550 0.500
Nb 0.250 0.250 0.500
Nb 0.750 0.250 0.000
Nb 0.000 0.000 0.500
Nb 0.953 0.453 0.500
Nb 0.250 0.750 0.000
Nb 0.000 0.500 0.000
Nb 0.203 0.203 0.000
O 0.952 0.452 0.000
O 0.250 0.750 0.500
O 0.797 0.298 0.000
O 0.952 0.952 0.500
O 0.452 0.952 0.000
O 0.000 0.000 0.000
O 0.298 0.797 0.000
O 0.500 0.500 0.000
O 0.548 0.548 0.500
O 0.452 0.452 0.500
O 0.750 0.250 0.500
O 0.048 0.548 0.000
O 0.548 0.048 0.000
O 0.205 0.205 0.506
O 0.699 0.205 0.000
O 0.298 0.298 0.500
O 0.048 0.048 0.500
O 0.699 0.699 0.494
O 0.797 0.797 0.500
O 0.205 0.699 0.000
F 0.095 0.595 0.500
F 0.595 0.095 0.500
F 0.656 0.656 0.000
F 0.346 0.346 0.000
F 0.905 0.405 0.500
F 0.405 0.905 0.500
F 0.844 0.844 0.000
F 0.156 0.156 0.000
K 0.152 0.652 0.500
K 0.346 0.846 0.500
K 0.652 0.152 0.500
K 0.846 0.346 0.500
K 0.407 0.407 0.000

Calculated values
Electronic total energy: -8.10 eV per atom
Space group: No. 107

# Sc2RuAu

Sc2RuAu after structural relaxation (PBE-GGA, the Materials Project database).

Unit cell a=4.679 b=4.679 c=4.679 alpha=60.00 beta=60.00 gamma=60.00
Fractional positions:
Sc 0.750 0.750 0.750
Sc 0.250 0.250 0.250
Ru 0.000 0.000 0.000
Au 0.500 0.500 0.500

Calculated values
Electronic total energy: -6.98 eV per atom
Space group: No. 225

# LiMg2

LiMg2 after structural relaxation (PBE-GGA, the Materials Project database).

Unit cell a=5.731 b=5.731 c=7.135 alpha=71.78 beta=71.78 gamma=34.72
Fractional positions:
Mg 0.513 0.513 0.263
Mg 0.830 0.830 0.105
Mg 0.487 0.487 0.737
Mg 0.170 0.170 0.895
Li 0.169 0.169 0.436
Li 0.831 0.831 0.564

Calculated values
Electronic total energy: -1.74 eV per atom
Space group: No. 12

# Sr5In2Sb6

Sr5In2Sb6 after structural relaxation (PBE-GGA, the Materials Project database).

Unit cell a=4.735 b=12.857 c=14.991 alpha=90.00 beta=90.00 gamma=90.00
Fractional positions:
Sr 0.500 0.088 0.750
Sr 0.500 0.500 0.000
Sr 0.500 0.588 0.750
Sr 0.500 0.826 0.983
Sr 0.500 0.174 0.017
Sr 0.500 0.674 0.483
Sr 0.500 0.912 0.250
Sr 0.500 0.000 0.500
Sr 0.500 0.326 0.517
Sr 0.500 0.412 0.250
Sb 0.500 0.163 0.325
Sb 0.500 0.837 0.675
Sb 0.000 0.024 0.905
Sb 0.000 0.347 0.095
Sb 0.000 0.153 0.595
Sb 0.000 0.976 0.095
Sb 0.000 0.524 0.595
Sb 0.500 0.337 0.825
Sb 0.000 0.653 0.905
Sb 0.500 0.663 0.175
Sb 0.000 0.476 0.405
Sb 0.000 0.847 0.405
In 0.000 0.670 0.286
In 0.000 0.830 0.786
In 0.000 0.330 0.714
In 0.000 0.170 0.214

Calculated values
Electronic total energy: -3.78 eV per atom
Space group: No. 55

| no. | E_form (eV per atom) | calculated volume (Å³/cell) |
| --- | --- | --- |
| 1 | -2.71 | 775.1 |
| 2 | -0.68 | 72.4 |
| 3 | -0.04 | 126.1 |
| 4 | -0.89 | 912.6 |